Record 1
{"formula": "KLaZr4O12", "functional": "PBE", "state": "optimized geometry", "formation_energy_ev_per_atom": -3.06, "dft_energy_ha_per_atom": -0.29889, "total_magnetization_mub_per_atom": 0.2222, "cell": [[8.4505, 0.0000, 0.0000], [0.0000, 4.1509, 4.1329], [0.0000, -4.1509, 4.1329]], "species": ["K", "La", "Zr", "Zr", "Zr", "Zr", "O", "O", "O", "O", "O", "O", "O", "O", "O", "O", "O", "O"], "frac_coords": [[0.0000, 0.0000, 0.0000], [0.5000, 0.5126, 0.5126], [0.2421, 0.0073, 0.5020], [0.2421, 0.5020, 0.0073], [0.7579, 0.0073, 0.5020], [0.7579, 0.5020, 0.0073], [0.0000, 0.5287, 0.9943], [0.0000, 0.9943, 0.5287], [0.2369, 0.2232, 0.2232], [0.2846, 0.2850, 0.7230], [0.2846, 0.7230, 0.2850], [0.2956, 0.7492, 0.7492], [0.5000, 0.0636, 0.4790], [0.5000, 0.4790, 0.0636], [0.7044, 0.7492, 0.7492], [0.7154, 0.2850, 0.7230], [0.7154, 0.7230, 0.2850], [0.7631, 0.2232, 0.2232]]}

Record 2
{"formula": "MoWSe4", "functional": "PBE", "state": "optimized geometry", "formation_energy_ev_per_atom": -0.93, "dft_energy_ha_per_atom": -0.25402, "de_polymorph_mev_per_atom": 125, "total_magnetization_mub_per_atom": 0.0001, "cell": [[3.3233, 0.0000, 0.0000], [-1.6616, 2.8780, 0.0000], [0.0000, 0.0000, 37.8452]], "species": ["Mo", "Mo", "W", "W", "Se", "Se", "Se", "Se", "Se", "Se", "Se", "Se"], "frac_coords": [[0.3333, 0.6667, 0.0939], [0.6667, 0.3333, 0.9061], [0.3333, 0.6667, 0.7182], [0.6667, 0.3333, 0.2818], [0.3333, 0.6667, 0.2373], [0.3333, 0.6667, 0.3263], [0.3333, 0.6667, 0.8618], [0.3333, 0.6667, 0.9504], [0.6667, 0.3333, 0.0496], [0.6667, 0.3333, 0.1382], [0.6667, 0.3333, 0.6737], [0.6667, 0.3333, 0.7627]]}

> Number 1 is which compound?

KLaZr4O12